#P
Here is a relaxed Mg14TiFeO16 crystal from Materials Project. Energies are from GGA+U.

Unit cell a=4.277 b=8.546 c=8.598 alpha=90.00 beta=90.00 gamma=90.00
Space group Pmmm (No. 47)
Unique sites:
Mg 0.000 0.000 0.000 x1
Mg 0.000 0.249 0.248 x4
Mg 0.000 0.500 0.000 x1
Mg 0.500 0.000 0.250 x2
Mg 0.500 0.246 0.500 x2
Mg 0.500 0.249 0.000 x2
Mg 0.500 0.500 0.247 x2
Ti 0.000 0.500 0.500 x1
Fe 0.000 0.000 0.500 x1
O 0.000 0.000 0.241 x2
O 0.000 0.246 0.500 x2
O 0.000 0.251 0.000 x2
O 0.000 0.500 0.244 x2
O 0.500 0.000 0.000 x1
O 0.500 0.000 0.500 x1
O 0.500 0.251 0.251 x4
O 0.500 0.500 0.000 x1
O 0.500 0.500 0.500 x1



#Q
Here is a relaxed Mg14TiFeO16 crystal from Materials Project. Energies are from GGA+U.

Unit cell a=8.600 b=8.600 c=4.253 alpha=90.00 beta=90.00 gamma=90.00
Space group P4/mmm (No. 123)
Unique sites:
Mg 0.000 0.252 0.000 x4
Mg 0.000 0.500 0.500 x2
Mg 0.247 0.500 0.000 x4
Mg 0.249 0.249 0.500 x4
Ti 0.500 0.500 0.500 x1
Fe 0.000 0.000 0.500 x1
O 0.000 0.000 0.000 x1
O 0.000 0.255 0.500 x4
O 0.000 0.500 0.000 x2
O 0.244 0.500 0.500 x4
O 0.250 0.250 0.000 x4
O 0.500 0.500 0.000 x1



It is #Q that is the most stable of them.



#P
Here is a relaxed MgTi4Fe3O12 crystal from Materials Project. Energies are from GGA+U.

Unit cell a=6.453 b=6.488 c=6.971 alpha=106.86 beta=109.80 gamma=108.77
Space group P1 (No. 1)
Unique sites:
Mg 0.000 0.000 0.000 x1
Ti 0.432 0.887 0.788 x1
Ti 0.438 0.412 0.318 x1
Ti 0.914 0.894 0.325 x1
Ti 0.943 0.367 0.788 x1
Fe 0.482 0.425 0.802 x1
Fe 0.867 0.365 0.220 x1
Fe 0.919 0.718 0.635 x1
O 0.105 0.353 0.064 x1
O 0.105 0.748 0.449 x1
O 0.197 0.152 0.342 x1
O 0.219 0.541 0.761 x1
O 0.264 0.006 0.910 x1
O 0.530 0.663 0.578 x1
O 0.614 0.173 0.779 x1
O 0.621 0.562 0.168 x1
O 0.707 0.348 0.439 x1
O 0.715 0.967 0.064 x1
O 0.889 0.635 0.899 x1
O 0.902 0.041 0.577 x1



#Q
Here is a relaxed MgTi4Fe3O12 crystal from Materials Project. Energies are from GGA+U.

Unit cell a=7.507 b=7.511 c=7.528 alpha=90.00 beta=90.00 gamma=90.00
Space group Immm (No. 71)
Unique sites:
Mg 0.000 0.000 0.000 x2
Ti 0.250 0.250 0.250 x8
Fe 0.000 0.000 0.500 x2
Fe 0.000 0.500 0.000 x2
Fe 0.000 0.500 0.500 x2
O 0.000 0.290 0.183 x8
O 0.191 0.000 0.300 x8
O 0.201 0.315 0.500 x8



It is #Q that is the most stable of them.



#P
Here is a relaxed MgV3FeO8 crystal from Materials Project. Energies are from GGA+U.

Unit cell a=5.409 b=5.833 c=6.687 alpha=87.10 beta=88.91 gamma=89.87
Space group P1 (No. 1)
Unique sites:
Mg 0.000 0.000 0.000 x1
V 0.487 0.821 0.263 x1
V 0.494 0.324 0.994 x1
V 0.984 0.998 0.509 x1
Fe 0.005 0.503 0.717 x1
O 0.035 0.290 0.504 x1
O 0.054 0.835 0.749 x1
O 0.141 0.901 0.266 x1
O 0.177 0.297 0.939 x1
O 0.529 0.513 0.186 x1
O 0.635 0.046 0.056 x1
O 0.642 0.439 0.791 x1
O 0.663 0.912 0.477 x1



#Q
Here is a relaxed MgV3FeO8 crystal from Materials Project. Energies are from GGA+U.

Unit cell a=5.343 b=5.736 c=6.902 alpha=90.85 beta=90.63 gamma=90.94
Space group P1 (No. 1)
Unique sites:
Mg 0.000 0.000 0.000 x1
V 0.493 0.650 0.002 x1
V 0.498 0.143 0.262 x1
V 0.994 0.507 0.733 x1
Fe 0.002 0.992 0.521 x1
O 0.047 0.191 0.766 x1
O 0.071 0.656 0.525 x1
O 0.145 0.691 0.937 x1
O 0.172 0.079 0.256 x1
O 0.561 0.430 0.201 x1
O 0.635 0.082 0.477 x1
O 0.640 0.960 0.079 x1
O 0.664 0.561 0.785 x1



It is #Q that is the most stable of them.



#P
Here is a relaxed MgV3FeO8 crystal from Materials Project. Energies are from GGA+U.

Unit cell a=5.366 b=5.604 c=6.961 alpha=87.80 beta=89.80 gamma=87.15
Space group P1 (No. 1)
Unique sites:
Mg 0.000 0.000 0.000 x1
V 0.005 0.009 0.511 x1
V 0.508 0.856 0.262 x1
V 0.963 0.496 0.744 x1
Fe 0.475 0.366 0.009 x1
O 0.043 0.825 0.754 x1
O 0.060 0.329 0.534 x1
O 0.124 0.320 0.941 x1
O 0.171 0.918 0.262 x1
O 0.578 0.564 0.222 x1
O 0.638 0.028 0.072 x1
O 0.644 0.484 0.775 x1
O 0.655 0.937 0.467 x1



#Q
Here is a relaxed MgV3FeO8 crystal from Materials Project. Energies are from GGA+U.

Unit cell a=5.482 b=5.698 c=6.703 alpha=87.62 beta=88.21 gamma=87.32
Space group P1 (No. 1)
Unique sites:
Mg 0.000 0.000 0.000 x1
V 0.010 0.498 0.265 x1
V 0.028 0.997 0.499 x1
V 0.513 0.675 0.991 x1
Fe 0.518 0.175 0.712 x1
O 0.330 0.073 0.496 x1
O 0.344 0.541 0.183 x1
O 0.364 0.953 0.941 x1
O 0.492 0.509 0.790 x1
O 0.832 0.693 0.058 x1
O 0.873 0.094 0.735 x1
O 0.933 0.171 0.257 x1
O 0.955 0.691 0.480 x1



#R
Here is a relaxed MgV3FeO8 crystal from Materials Project. Energies are from GGA+U.

Unit cell a=12.492 b=3.811 c=7.105 alpha=90.00 beta=106.72 gamma=90.00
Space group Cm (No. 8)
Unique sites:
Mg 0.000 0.000 0.000 x2
V 0.142 0.000 0.739 x2
V 0.229 0.000 0.327 x2
V 0.435 0.000 0.670 x2
Fe 0.038 0.500 0.338 x2
O 0.060 0.000 0.288 x2
O 0.100 0.500 0.663 x2
O 0.178 0.000 0.989 x2
O 0.213 0.500 0.298 x2
O 0.260 0.000 0.609 x2
O 0.388 0.000 0.396 x2
O 0.455 0.000 0.943 x2
O 0.475 0.500 0.700 x2



It is #R that is the most stable of them.